## Xe (meta-GGA r2SCAN)

Data for an optimized crystal structure of Xe.

Output
uncorrected energy	-23.86	eV/atom
offset from the most stable computed form	2	kJ/mol of formula units
calculated formation energy	0.02	eV/atom

```
Xe
1.0
-1.5008 -1.0023 4.2587
-6.5629 -2.4737 -2.8949
-0.1384 -8.7911 -2.1177
Xe
4
Cartesian
-3.9188 -4.2630 2.5830
-4.2833 -8.0041 -3.3369
-6.4835 -5.0212 -0.8985
-1.7186 -7.2459 0.1446
```


## Xe (meta-GGA r2SCAN)

Data for an optimized crystal structure of Xe.

Output
uncorrected energy	-23.87	eV/atom
offset from the most stable computed form	1	kJ/mol of formula units
calculated formation energy	0.01	eV/atom

```
Xe
1.0
2.5595 2.5595 2.5595
2.5595 -2.5595 -2.5595
-2.5595 2.5595 -2.5595
Xe
1
Cartesian
0.0000 0.0000 0.0000
```


## Xe (meta-GGA r2SCAN)

Data for an optimized crystal structure of Xe.

Output
uncorrected energy	-23.86	eV/atom
offset from the most stable computed form	2	kJ/mol of formula units
calculated formation energy	0.02	eV/atom

```
Xe
1.0
0.2223 9.2921 -0.6673
-7.2067 -5.8896 -0.4615
-0.5697 0.3405 4.5513
Xe
4
Cartesian
-6.7670 -3.5119 3.9842
-0.7872 7.2549 -0.5617
-2.7871 3.9203 1.7614
-4.7671 -0.1773 1.6611
```


## Xe (meta-GGA r2SCAN)

Data for an optimized crystal structure of Xe.

Output
uncorrected energy	-23.85	eV/atom
offset from the most stable computed form	3	kJ/mol of formula units
calculated formation energy	0.03	eV/atom

```
Xe
1.0
-1.8028 4.1725 -0.9177
-3.3923 -1.2597 -2.8996
-3.5609 -0.0416 2.9699
Xe
1
Cartesian
-4.3779 1.4356 -0.4237
```


## Xe (meta-GGA r2SCAN)

Data for an optimized crystal structure of Xe.

Output
uncorrected energy	-23.88	eV/atom
offset from the most stable computed form	0	kJ/mol of formula units
calculated formation energy	0.00	eV/atom

```
Xe
1.0
4.5209 0.0000 0.0000
-2.2605 3.9152 0.0000
0.0000 0.0000 14.6742
Xe
4
Cartesian
0.0000 2.6102 3.6685
2.2605 1.3051 11.0056
0.0000 0.0000 7.3371
0.0000 0.0000 0.0000
```


## Xe (meta-GGA r2SCAN)

Data for an optimized crystal structure of Xe.

Output
uncorrected energy	-23.88	eV/atom
offset from the most stable computed form	1	kJ/mol of formula units
calculated formation energy	0.01	eV/atom

```
Xe
1.0
3.9552 -2.3026 0.0702
3.9552 2.3026 0.0702
2.5485 0.0000 3.8021
Xe
1
Cartesian
0.0000 0.0000 0.0000
```


## Xe (meta-GGA r2SCAN)

Data for an optimized crystal structure of Xe.

Output
uncorrected energy	-23.88	eV/atom
offset from the most stable computed form	0	kJ/mol of formula units
calculated formation energy	0.00	eV/atom

```
Xe
1.0
-0.2889 -2.1159 4.0170
3.7062 2.4289 -1.0302
-3.1134 5.9952 2.9339
Xe
2
Cartesian
-1.2922 3.8954 4.5350
1.5962 2.4128 1.3857
```


## Y (meta-GGA r2SCAN)

Data for an optimized crystal structure of Y.

Output
uncorrected energy	-20.31	eV/atom
offset from the most stable computed form	0	kJ/mol of formula units
calculated formation energy	0.00	eV/atom

```
Y
1.0
-1.8953 2.7589 -1.4370
-1.7450 -2.7890 1.5636
0.1567 2.7992 5.1676
Y
2
Cartesian
-1.7559 -0.2399 1.8554
-1.7276 3.0090 3.4390
```


## Y (meta-GGA r2SCAN)

Data for an optimized crystal structure of Y.

Output
uncorrected energy	-20.27	eV/atom
offset from the most stable computed form	4	kJ/mol of formula units
calculated formation energy	0.04	eV/atom

```
Y
1.0
0.2584 3.3407 1.4461
0.9946 -2.9148 1.9578
8.3778 -1.3831 -2.9109
Y
3
Cartesian
0.0000 0.0000 0.0000
6.3894 -2.4488 -0.0864
3.2414 1.4916 0.5794
```


## Y (meta-GGA r2SCAN)

Data for an optimized crystal structure of Y.

Output
uncorrected energy	-20.27	eV/atom
offset from the most stable computed form	4	kJ/mol of formula units
calculated formation energy	0.04	eV/atom

```
Y
1.0
-2.0212 1.2017 -2.7819
0.9023 -3.5229 0.2073
-9.8451 -2.1553 6.2220
Y
4
Cartesian
-2.5335 -2.4869 0.7664
-8.4305 -1.9896 2.8810
-4.9226 -1.0776 3.1110
-9.8450 -2.1553 6.2220
```


## Y (meta-GGA r2SCAN)

Data for an optimized crystal structure of Y.

Output
uncorrected energy	-20.22	eV/atom
offset from the most stable computed form	9	kJ/mol of formula units
calculated formation energy	0.10	eV/atom

```
Y
1.0
-3.5438 0.5581 -0.3940
-1.8674 -1.9045 -2.4313
-2.3543 -2.5074 1.0936
Y
1
Cartesian
0.0000 0.0000 0.0000
```


## YbY3 (meta-GGA r2SCAN)

Data for an optimized crystal structure of YbY3.

Output
uncorrected energy	-24.28	eV/atom
calculated formation energy	0.08	eV/atom

```
YbY3
1.0
-2.6685 -0.7634 5.5495
-3.3551 5.0214 1.4245
0.1597 -3.5887 -5.0593
Y Yb
3 1
Cartesian
-3.1036 1.7809 -0.0739
-3.0118 2.1290 3.4870
-2.7603 -1.1115 1.9886
0.0000 0.0000 0.0000
```


## Yb3Y (meta-GGA r2SCAN)

Data for an optimized crystal structure of Yb3Y.

Output
uncorrected energy	-32.47	eV/atom
calculated formation energy	0.00	eV/atom

```
Yb3Y
1.0
-0.0604 6.1366 3.6847
-2.8576 -5.9129 2.8478
4.8837 -1.2883 2.2256
Y Yb
2 6
Cartesian
0.2281 1.7980 3.9622
1.7375 -2.8626 4.7960
3.1397 3.1777 5.2155
0.2657 -1.2630 2.1077
3.1702 0.0856 3.3589
-1.2046 -1.1502 5.3992
-1.1741 -4.2423 3.5426
1.6999 0.1983 6.6504
```


## YbYZn2 (meta-GGA r2SCAN)

Data for an optimized crystal structure of YbYZn2.

Output
uncorrected energy	-19.06	eV/atom
calculated formation energy	-0.40	eV/atom

```
YbYZn2
1.0
1.4573 -4.1487 2.3431
-2.5642 -1.6725 3.9310
-2.7134 -4.1613 -0.3828
Zn Yb Y
2 1 1
Cartesian
-2.8652 -7.4868 4.4185
-0.9551 -2.4956 1.4728
0.0000 0.0000 0.0000
-1.9102 -4.9912 2.9457
```


## Y3Zn11 (meta-GGA r2SCAN)

Data for an optimized crystal structure of Y3Zn11.

Output
uncorrected energy	-11.73	eV/atom
calculated formation energy	-0.37	eV/atom

```
Y3Zn11
1.0
-4.0826 0.4587 -1.3709
-3.1600 5.8813 4.5370
-0.2551 7.1807 -3.6786
Zn Y
11 3
Cartesian
-5.1566 11.4785 -1.3263
-1.1672 5.0641 -1.6708
-1.5303 2.4049 -1.4792
-4.2889 6.5188 1.2712
-5.9674 11.1158 0.9667
-5.0644 9.0230 -2.4226
-2.3411 2.0423 0.8138
-3.2088 7.0020 -1.7838
-6.3305 8.4566 1.1582
-2.4333 4.4978 1.9101
-1.7075 6.5310 0.4292
-3.8861 4.1697 -0.7145
-3.6116 9.3511 0.2020
0.0000 0.0000 0.0000
```


## YZn2 (meta-GGA r2SCAN)

Data for an optimized crystal structure of YZn2.

Output
uncorrected energy	-13.07	eV/atom
calculated formation energy	-0.36	eV/atom

```
YZn2
1.0
2.7545 -4.7709 0.0000
2.7545 4.7709 0.0000
0.0000 0.0000 8.6001
Zn Y
8 4
Cartesian
4.1251 0.7990 6.4501
0.0000 0.0000 4.3000
4.1251 -0.7990 2.1500
2.7545 3.1730 6.4501
2.7545 -3.1730 2.1500
1.3839 -0.7990 2.1500
0.0000 0.0000 0.0000
1.3839 0.7990 6.4501
2.7545 -1.5903 4.7921
2.7545 -1.5903 8.1080
2.7545 1.5903 3.8079
2.7545 1.5903 0.4921
```


## YZn2 (meta-GGA r2SCAN)

Data for an optimized crystal structure of YZn2.

Output
uncorrected energy	-13.09	eV/atom
calculated formation energy	-0.37	eV/atom

```
YZn2
1.0
-0.0780 -4.4059 -3.1664
-4.7282 -1.9739 -1.7864
-1.3205 0.4505 -5.2438
Zn Y
4 2
Cartesian
-3.1300 -1.7281 -2.1678
-1.4261 -0.5159 -3.8965
-0.8048 -2.9441 -2.8578
-0.7658 -0.7412 -1.2746
-3.0634 -2.9646 -5.0983
-4.5950 -4.4469 -7.6474
```


## YbZn2 (meta-GGA r2SCAN)

Data for an optimized crystal structure of YbZn2.

Output
uncorrected energy	-18.57	eV/atom
calculated formation energy	-0.45	eV/atom

```
YbZn2
1.0
4.3792 0.0000 0.0000
2.1896 3.4279 3.7296
2.1896 -3.4279 3.7296
Zn Yb
4 2
Cartesian
2.1896 -0.2914 2.4909
6.5689 0.2914 4.9683
4.3792 0.2914 6.2204
4.3792 -0.2914 1.2387
4.3792 -1.7140 3.9505
4.3792 1.7140 3.5087
```


## YbZn3 (meta-GGA r2SCAN)

Data for an optimized crystal structure of YbZn3.

Output
uncorrected energy	-16.15	eV/atom
calculated formation energy	-0.34	eV/atom

```
YbZn3
1.0
3.0422 -5.2693 0.0000
3.0422 5.2693 0.0000
0.0000 0.0000 4.3555
Zn Yb
6 2
Cartesian
4.7051 0.7964 1.0889
1.3794 -0.7964 3.2666
1.3794 0.7964 1.0889
3.0422 -3.6766 3.2666
3.0422 3.6766 1.0889
4.7051 -0.7964 3.2666
3.0422 -1.7564 1.0889
3.0422 1.7564 3.2666
```


## Yb3Zr (meta-GGA r2SCAN)

Data for an optimized crystal structure of Yb3Zr.

Output
uncorrected energy	-32.94	eV/atom
offset from the most stable computed form	50	kJ/mol of formula units
calculated formation energy	0.15	eV/atom

```
Yb3Zr
1.0
0.0000 3.8312 3.8312
3.8312 0.0000 3.8312
3.8312 3.8312 0.0000
Yb Zr
3 1
Cartesian
3.8312 3.8312 3.8312
5.7468 5.7468 5.7468
1.9156 1.9156 1.9156
0.0000 0.0000 0.0000
```